## P
! Mg14SnBiO16 | the Materials Project | PBE | relaxed; values from VASP
! spin magnetization: 0.3 μB/f.u.
&SYSTEM
  ibrav = 0, nat = 32, ntyp = 4
/
ATOMIC_SPECIES
O 16.00 O.upf
Mg 24.30 Mg.upf
Bi 208.98 Bi.upf
Sn 118.71 Sn.upf
ATOMIC_POSITIONS angstrom
O 0.155 -1.701 1.489
O -2.366 -0.288 -0.082
O -4.597 0.801 1.394
O -6.653 -1.071 2.919
O -4.690 0.633 4.662
O -7.119 1.803 6.251
O -6.395 -0.778 -0.223
O -0.679 4.186 4.854
O -2.262 -0.537 3.072
O -0.251 1.549 1.796
O -4.225 -2.235 1.336
O -2.503 2.620 3.254
O -0.310 1.167 4.814
O -2.728 2.338 6.404
O -7.188 2.049 3.091
O -5.094 3.868 4.951
Mg -4.381 -0.533 -0.153
Mg -0.084 -0.227 3.198
Mg -6.354 -2.494 1.262
Mg -4.933 2.131 6.398
Mg -6.978 0.355 4.582
Mg -7.297 3.516 4.778
Mg -2.402 0.912 4.741
Mg -0.465 2.868 3.325
Mg -6.827 0.614 1.413
Mg -0.536 2.560 6.430
Mg -4.448 -0.865 2.925
Mg -2.394 1.153 1.567
Mg -2.864 4.055 4.932
Mg -2.096 -1.975 1.411
Bi -4.846 2.335 3.173
Sn 0.000 0.000 0.000
CELL_PARAMETERS angstrom
-0.930 5.736 6.650
-8.761 -1.067 -0.305
0.310 -3.403 2.978

## Q
! Mg14SnBiO16 | the Materials Project | PBE | relaxed; values from VASP
! spin magnetization: 0.1 μB/f.u.
&SYSTEM
  ibrav = 0, nat = 32, ntyp = 4
/
ATOMIC_SPECIES
Sn 118.71 Sn.upf
O 16.00 O.upf
Mg 24.30 Mg.upf
Bi 208.98 Bi.upf
ATOMIC_POSITIONS angstrom
Sn 0.000 0.000 0.000
O -2.470 -4.262 -0.495
O 1.883 -7.070 1.321
O 0.048 -0.287 2.233
O -0.572 -3.340 1.854
O -1.198 -6.409 1.472
O -1.823 -9.477 1.091
O -4.278 -5.748 1.624
O -5.373 -3.490 -0.333
O -2.018 -1.311 -0.125
O -0.021 -7.981 -1.026
O -2.933 -7.218 -0.865
O 3.696 -5.613 -0.802
O 0.442 -5.025 -0.656
O 2.498 -4.008 1.702
O -3.648 -2.688 2.004
O 1.204 -1.829 -0.261
Mg 0.032 -8.277 1.205
Mg -2.428 -4.541 1.739
Mg 3.747 -5.904 1.431
Mg 0.546 -5.276 1.580
Mg -4.239 -5.373 -0.600
Mg -5.412 -3.834 1.894
Mg 1.250 -2.112 1.972
Mg 1.748 -6.870 -0.921
Mg -0.736 -3.098 -0.383
Mg -1.883 -1.542 2.113
Mg -1.755 -9.145 -1.139
Mg -3.696 -2.401 -0.229
Mg -2.941 -7.541 1.364
Mg -1.246 -6.122 -0.761
Bi 2.450 -3.721 -0.531
CELL_PARAMETERS angstrom
-7.391 -4.801 -0.459
4.900 -7.442 -1.063
0.096 -0.575 4.466

Relative energy table, unit eV/atom: P 0.000; Q 0.011

## P
! SrMg6BiO8 | the Materials Project | PBE | relaxed; values from VASP
! spin magnetization: 0.0 μB/f.u.
&SYSTEM
  ibrav = 0, nat = 16, ntyp = 4
/
ATOMIC_SPECIES
Mg 24.30 Mg.upf
O 16.00 O.upf
Bi 208.98 Bi.upf
Sr 87.62 Sr.upf
ATOMIC_POSITIONS angstrom
Mg -5.459 1.575 -0.267
Mg -6.147 2.091 -3.473
Mg -2.391 -0.990 2.061
Mg -3.024 -0.520 -1.103
Mg -2.379 2.049 0.878
Mg -5.503 4.660 -1.491
O -6.979 2.847 -1.421
O -4.592 3.839 -3.484
O -1.544 1.291 -1.172
O -3.938 0.304 0.887
O -4.586 0.786 -2.288
O -0.873 0.790 2.021
O -3.941 3.355 -0.306
O -1.518 -1.779 0.040
Bi -3.068 2.565 -2.328
Sr 0.000 0.000 0.000
CELL_PARAMETERS angstrom
-6.136 5.130 -4.655
-3.035 -3.559 0.079
-1.746 1.579 4.042

## Q
! SrMg6BiO8 | the Materials Project | PBE | relaxed; values from VASP
! spin magnetization: 0.0 μB/f.u.
&SYSTEM
  ibrav = 0, nat = 16, ntyp = 4
/
ATOMIC_SPECIES
Mg 24.30 Mg.upf
O 16.00 O.upf
Sr 87.62 Sr.upf
Bi 208.98 Bi.upf
ATOMIC_POSITIONS angstrom
Mg -5.033 -2.876 0.064
Mg -4.271 -5.786 -0.569
Mg -2.532 -3.617 -1.880
Mg -2.119 -2.712 1.029
Mg -5.446 -3.781 -2.845
Mg -3.294 -0.706 -1.247
O -3.967 -1.354 0.855
O -6.098 -4.398 -0.727
O -1.414 -2.020 -1.050
O -4.370 -2.244 -2.046
O -0.663 -0.633 2.110
O -3.650 -5.213 -2.710
O -3.195 -4.249 0.230
O -1.838 1.373 -0.166
Sr 0.000 0.000 0.000
Bi -2.501 0.740 1.944
CELL_PARAMETERS angstrom
-5.064 -7.233 -3.760
-1.326 -1.265 4.220
-3.676 2.746 -0.331

Relative energy table, unit eV/atom: P 0.079; Q 0.000

## P
! YMg6BiO8 | the Materials Project | PBE | relaxed; values from VASP
! spin magnetization: 0.0 μB/f.u.
&SYSTEM
  ibrav = 0, nat = 16, ntyp = 4
/
ATOMIC_SPECIES
Mg 24.30 Mg.upf
O 16.00 O.upf
Y 88.91 Y.upf
Bi 208.98 Bi.upf
ATOMIC_POSITIONS angstrom
Mg 0.467 1.914 2.680
Mg -2.743 -0.134 6.871
Mg 0.193 0.673 5.688
Mg -1.958 3.002 6.473
Mg -0.318 -1.222 3.077
Mg 2.662 -0.435 1.826
O -1.049 1.230 7.632
O 0.938 -1.785 1.112
O -1.144 0.513 1.789
O 1.723 1.351 0.714
O -3.794 1.702 5.935
O -1.531 -0.678 4.974
O 1.435 0.115 3.745
O -0.746 2.458 4.577
Y 0.000 0.000 0.000
Bi -2.469 1.107 3.862
CELL_PARAMETERS angstrom
-4.938 2.215 7.724
1.877 -3.571 2.224
3.447 2.702 1.429

## Q
! YMg6BiO8 | the Materials Project | PBE | relaxed; values from VASP
! spin magnetization: 0.2 μB/f.u.
&SYSTEM
  ibrav = 0, nat = 16, ntyp = 4
/
ATOMIC_SPECIES
O 16.00 O.upf
Mg 24.30 Mg.upf
Bi 208.98 Bi.upf
Y 88.91 Y.upf
ATOMIC_POSITIONS angstrom
O 2.346 0.000 0.000
O 0.000 0.000 2.355
O 4.494 0.000 2.355
O 2.519 2.355 2.355
O 4.494 2.355 0.000
O 6.469 2.355 2.355
O 6.642 0.000 0.000
O 0.000 2.355 0.000
Mg 6.527 2.355 0.000
Mg 4.494 2.355 2.355
Mg 4.494 0.000 0.000
Mg 6.527 0.000 2.355
Mg 2.461 2.355 0.000
Mg 2.461 0.000 2.355
Bi 0.000 2.355 2.355
Y 0.000 0.000 0.000
CELL_PARAMETERS angstrom
8.987 0.000 0.000
0.000 4.710 0.000
0.000 0.000 4.710

Relative energy table, unit eV/atom: P 0.030; Q 0.000

## P
! Mg6BiSb | the Materials Project | PBE | relaxed; values from VASP
! spin magnetization: 0.0 μB/f.u.
&SYSTEM
  ibrav = 0, nat = 16, ntyp = 3
/
ATOMIC_SPECIES
Bi 208.98 Bi.upf
Mg 24.30 Mg.upf
Sb 121.76 Sb.upf
ATOMIC_POSITIONS angstrom
Bi 2.656 0.000 7.588
Bi 2.656 3.259 1.903
Mg 0.000 1.659 6.598
Mg 0.000 4.859 6.598
Mg 0.000 4.918 0.913
Mg 2.656 1.632 4.732
Mg 2.656 1.627 10.417
Mg 2.656 4.886 4.732
Mg 0.000 3.259 9.488
Mg 0.000 1.600 0.913
Mg 2.656 4.891 10.417
Mg 0.000 0.000 3.804
Mg 0.000 0.000 9.521
Mg 0.000 3.259 3.836
Sb 2.656 0.000 1.907
Sb 2.656 3.259 7.591
CELL_PARAMETERS angstrom
5.313 0.000 0.000
0.000 6.518 0.000
0.000 0.000 11.370

## Q
! Mg6BiSb | the Materials Project | PBE | relaxed; values from VASP
! spin magnetization: 0.0 μB/f.u.
&SYSTEM
  ibrav = 0, nat = 16, ntyp = 3
/
ATOMIC_SPECIES
Mg 24.30 Mg.upf
Sb 121.76 Sb.upf
Bi 208.98 Bi.upf
ATOMIC_POSITIONS angstrom
Mg -3.846 0.191 0.468
Mg -4.786 -2.370 2.253
Mg -10.721 -2.075 2.977
Mg -6.775 0.413 2.410
Mg -0.848 0.116 1.629
Mg -4.406 -2.239 5.318
Mg -7.748 -2.148 4.170
Mg -6.403 0.542 5.417
Mg -10.341 -1.944 6.041
Mg -2.193 -2.574 0.382
Mg -0.461 0.250 4.752
Mg -9.401 0.618 4.256
Sb -10.316 0.513 1.257
Sb -4.001 0.349 3.598
Bi -7.705 -2.300 1.054
Bi -1.390 -2.464 3.395
CELL_PARAMETERS angstrom
-0.235 -5.355 0.259
0.760 0.263 6.129
-11.870 0.590 1.446

Relative energy table, unit eV/atom: P 0.046; Q 0.000

## P
! Mg14SnBi | the Materials Project | PBE | relaxed; values from VASP
! spin magnetization: 0.0 μB/f.u.
&SYSTEM
  ibrav = 0, nat = 16, ntyp = 3
/
ATOMIC_SPECIES
Sn 118.71 Sn.upf
Mg 24.30 Mg.upf
Bi 208.98 Bi.upf
ATOMIC_POSITIONS angstrom
Sn 1.345 0.486 1.761
Mg 4.400 -0.160 2.544
Mg -1.032 -0.273 3.792
Mg 0.116 7.486 5.546
Mg -0.302 2.773 3.294
Mg 2.426 3.762 6.815
Mg -2.208 6.746 7.526
Mg 0.829 6.054 8.339
Mg 4.816 4.522 4.778
Mg 2.823 2.110 4.101
Mg 2.013 -0.919 4.578
Mg -2.627 2.034 5.275
Mg -0.615 4.407 6.030
Mg 0.415 1.397 6.115
Mg 3.242 6.823 6.352
Bi 1.761 5.167 3.997
CELL_PARAMETERS angstrom
-4.762 -1.515 4.058
6.105 -1.295 1.576
0.832 9.362 4.472

## Q
! Mg14SnBi | the Materials Project | PBE | relaxed; values from VASP
! spin magnetization: 0.0 μB/f.u.
&SYSTEM
  ibrav = 0, nat = 16, ntyp = 3
/
ATOMIC_SPECIES
Mg 24.30 Mg.upf
Sn 118.71 Sn.upf
Bi 208.98 Bi.upf
ATOMIC_POSITIONS angstrom
Mg -0.282 -5.006 1.073
Mg -5.791 -2.474 8.120
Mg -2.690 -2.686 0.757
Mg -2.724 -1.672 8.644
Mg -4.933 -2.277 3.026
Mg -3.371 -4.781 8.409
Mg 0.509 -3.774 3.909
Mg -2.522 -4.587 3.372
Mg -0.341 -3.970 8.957
Mg -3.545 -2.880 5.860
Mg 1.909 -4.390 6.720
Mg -1.140 -5.199 6.175
Mg -1.874 -1.477 3.596
Mg -0.496 -2.072 6.405
Sn 0.376 -1.861 1.305
Bi 2.784 -4.177 1.621
CELL_PARAMETERS angstrom
-6.108 -1.629 -1.092
4.811 -4.637 0.631
-1.719 -0.394 10.204

Relative energy table, unit eV/atom: P 0.000; Q 0.009

## P
! SrMg14Bi | the Materials Project | PBE | relaxed; values from VASP
! spin magnetization: 0.0 μB/f.u.
&SYSTEM
  ibrav = 0, nat = 16, ntyp = 3
/
ATOMIC_SPECIES
Mg 24.30 Mg.upf
Sr 87.62 Sr.upf
Bi 208.98 Bi.upf
ATOMIC_POSITIONS angstrom
Mg 5.206 0.309 0.089
Mg 4.527 -0.063 3.286
Mg 1.184 -3.182 2.146
Mg 5.507 -1.087 6.195
Mg 3.589 -3.044 4.341
Mg 4.357 -2.604 1.204
Mg 6.384 1.920 5.044
Mg 4.805 -1.460 9.405
Mg 0.485 -3.533 5.341
Mg 5.700 1.466 8.173
Mg 1.327 -0.646 4.236
Mg 2.433 -1.648 7.108
Mg 1.657 -2.005 10.229
Mg 2.500 0.882 9.124
Sr 2.085 -0.223 1.005
Bi 3.277 1.331 5.974
CELL_PARAMETERS angstrom
-1.733 -5.941 2.274
6.226 1.135 -1.849
2.385 3.108 9.938

## Q
! SrMg14Bi | the Materials Project | PBE | relaxed; values from VASP
! spin magnetization: 0.0 μB/f.u.
&SYSTEM
  ibrav = 0, nat = 16, ntyp = 3
/
ATOMIC_SPECIES
Mg 24.30 Mg.upf
Sr 87.62 Sr.upf
Bi 208.98 Bi.upf
ATOMIC_POSITIONS angstrom
Mg 3.610 -1.198 3.582
Mg 6.429 3.942 1.446
Mg 8.205 -1.016 -0.663
Mg 5.232 1.646 3.380
Mg 6.585 1.775 -1.067
Mg 7.948 6.706 1.263
Mg 1.959 1.640 3.162
Mg 8.042 1.169 1.856
Mg 5.532 -0.459 0.904
Mg 8.092 4.553 -1.146
Mg 3.688 4.474 2.922
Mg 9.654 3.963 1.657
Mg 9.728 1.740 -0.730
Mg 3.896 2.354 0.488
Sr 2.138 -0.554 0.670
Bi 3.771 -3.330 1.128
CELL_PARAMETERS angstrom
-0.328 4.342 4.998
3.244 -5.578 0.825
8.897 4.662 -3.466

Relative energy table, unit eV/atom: P 0.047; Q 0.000

## P
! Mg6VBi | the Materials Project | PBE | relaxed; values from VASP
! spin magnetization: 3.4 μB/f.u.
&SYSTEM
  ibrav = 0, nat = 16, ntyp = 3
/
ATOMIC_SPECIES
Mg 24.30 Mg.upf
V 50.94 V.upf
Bi 208.98 Bi.upf
ATOMIC_POSITIONS angstrom
Mg 0.160 -0.469 1.666
Mg 0.958 3.991 10.721
Mg 1.050 0.155 4.754
Mg 3.165 3.521 8.477
Mg 1.906 0.793 7.645
Mg 1.362 6.143 8.546
Mg -0.789 2.728 4.742
Mg 3.611 5.747 6.357
Mg 1.419 2.258 2.498
Mg 2.294 2.858 5.558
Mg -1.198 0.551 6.943
Mg -0.266 -2.734 3.955
V -1.664 2.089 1.758
V 0.082 3.352 7.737
Bi 0.496 5.527 5.560
Bi -2.065 -0.065 3.957
CELL_PARAMETERS angstrom
-4.762 1.896 0.991
-0.814 -4.329 4.376
4.307 6.854 7.582

## Q
! Mg6VBi | the Materials Project | PBE | relaxed; values from VASP
! spin magnetization: 3.2 μB/f.u.
&SYSTEM
  ibrav = 0, nat = 16, ntyp = 3
/
ATOMIC_SPECIES
Bi 208.98 Bi.upf
Mg 24.30 Mg.upf
V 50.94 V.upf
ATOMIC_POSITIONS angstrom
Bi 2.556 3.226 1.871
Bi 2.556 0.000 7.317
Mg 2.556 3.226 7.273
Mg 2.556 1.584 9.964
Mg 0.000 4.784 6.318
Mg 2.556 4.868 9.964
Mg 0.000 1.558 0.872
Mg 2.556 0.000 1.827
Mg 2.556 1.642 4.518
Mg 0.000 1.669 6.318
Mg 0.000 0.000 3.649
Mg 0.000 3.226 9.095
Mg 0.000 4.895 0.872
Mg 2.556 4.811 4.518
V 0.000 3.226 3.656
V 0.000 0.000 9.102
CELL_PARAMETERS angstrom
5.112 0.000 0.000
0.000 6.453 0.000
0.000 0.000 10.892

Relative energy table, unit eV/atom: P 0.011; Q 0.000

## P
! Mg14BiW | the Materials Project | PBE | relaxed; values from VASP
! spin magnetization: 1.8 μB/f.u.
&SYSTEM
  ibrav = 0, nat = 16, ntyp = 3
/
ATOMIC_SPECIES
Mg 24.30 Mg.upf
Bi 208.98 Bi.upf
W 183.84 W.upf
ATOMIC_POSITIONS angstrom
Mg 7.560 -0.409 2.613
Mg 8.752 2.497 3.222
Mg 7.362 4.196 5.425
Mg 5.990 2.220 1.767
Mg 7.248 5.014 2.426
Mg 4.372 -0.244 2.830
Mg 1.920 -1.293 4.429
Mg 1.457 4.143 4.291
Mg 2.868 2.273 2.035
Mg 0.343 1.347 3.595
Mg 4.649 4.049 3.971
Mg 3.168 1.571 5.050
Mg 5.893 6.919 4.688
Mg 6.235 1.394 4.810
Bi 3.262 -3.115 2.175
W 1.677 -0.471 1.404
CELL_PARAMETERS angstrom
-2.667 3.633 4.408
3.145 -5.263 1.663
8.617 5.392 0.771

## Q
Mg14BiW | PBE | relaxed Values from VASP.

Structure (Quantum ESPRESSO input):
```
&SYSTEM
  ibrav = 0, nat = 16, ntyp = 3
/
ATOMIC_SPECIES
Mg 24.30 Mg.upf
W 183.84 W.upf
Bi 208.98 Bi.upf
ATOMIC_POSITIONS angstrom
Mg -1.574 4.558 6.415
Mg 3.156 1.837 1.283
Mg -1.591 4.548 1.283
Mg 3.156 1.817 6.415
Mg 0.000 3.594 3.688
Mg 4.778 0.936 3.688
Mg 1.535 0.936 3.688
Mg 1.591 4.548 1.283
Mg 3.156 3.644 8.994
Mg 1.535 0.936 9.143
Mg 3.156 3.644 3.836
Mg 0.000 3.594 9.143
Mg 1.574 4.558 6.415
Mg 4.778 0.936 9.143
W 0.000 1.822 1.283
Bi 0.000 1.822 6.415
CELL_PARAMETERS angstrom
6.312 0.000 0.000
-3.156 5.467 0.000
0.000 0.000 10.265
```

Relative energy table, unit eV/atom: P 0.031; Q 0.000